# 1
## Eu3As4 (PBE)

Data for a geometry-optimized Eu3As4 structure.

Properties
- distance to the lowest polymorph of the same formula (eV per formula unit) = 0.06

a = 7.844 Å, b = 7.844 Å, c = 9.102 Å
α = 83.30°, β = 83.30°, γ = 136.79°
Atoms (fractional coordinates):
As 0.409 0.841 0.011
As 0.306 0.219 0.163
As 0.597 0.663 0.993
As 0.219 0.306 0.663
As 0.134 0.713 0.832
As 0.841 0.409 0.511
As 0.713 0.134 0.332
As 0.663 0.597 0.493
Eu 0.298 0.546 0.334
Eu 0.546 0.298 0.834
Eu 0.005 0.249 0.001
Eu 0.249 0.005 0.501
Eu 0.627 0.889 0.669
Eu 0.889 0.627 0.169


# 2
## Ho6Nb4Al43 (PBE)

Data for a geometry-optimized Ho6Nb4Al43 structure.

a = 11.124 Å, b = 11.124 Å, c = 17.729 Å
α = 90.00°, β = 90.00°, γ = 120.00°
Atoms (fractional coordinates):
Nb 0.274 0.000 0.250
Nb 0.726 0.726 0.250
Nb 0.000 0.274 0.250
Nb 0.000 0.000 0.500
Nb 0.726 0.000 0.750
Nb 0.274 0.274 0.750
Nb 0.000 0.000 0.000
Nb 0.000 0.726 0.750
Al 0.157 0.762 0.336
Al 0.157 0.762 0.164
Al 0.743 0.000 0.030
Al 0.506 0.753 0.000
Al 0.506 0.753 0.500
Al 0.554 0.150 0.250
Al 0.853 0.853 0.750
Al 0.554 0.405 0.750
Al 0.762 0.157 0.164
Al 0.667 0.333 0.626
Al 0.333 0.667 0.874
Al 0.333 0.667 0.626
Al 0.157 0.394 0.836
Al 0.606 0.762 0.836
Al 0.446 0.850 0.750
Al 0.159 0.159 0.615
Al 0.157 0.394 0.664
Al 0.667 0.333 0.374
Al 0.147 0.000 0.750
Al 0.743 0.000 0.470
Al 0.850 0.446 0.750
Al 0.394 0.157 0.664
Al 0.394 0.238 0.336
Al 0.000 0.841 0.615
Al 0.753 0.506 0.000
Al 0.850 0.405 0.250
Al 0.000 0.159 0.115
Al 0.841 0.841 0.385
Al 0.405 0.850 0.250
Al 0.841 0.841 0.115
Al 0.238 0.394 0.336
Al 0.446 0.595 0.250
Al 0.247 0.753 0.000
Al 0.000 0.853 0.250
Al 0.257 0.000 0.530
Al 0.841 0.000 0.885
Al 0.606 0.762 0.664
Al 0.853 0.000 0.250
Al 0.000 0.743 0.470
Al 0.841 0.000 0.615
Al 0.606 0.843 0.164
Al 0.238 0.394 0.164
Al 0.394 0.157 0.836
Al 0.000 0.257 0.970
Al 0.753 0.506 0.500
Al 0.762 0.157 0.336
Al 0.743 0.743 0.970
Al 0.247 0.494 0.500
Al 0.150 0.595 0.750
Al 0.147 0.147 0.250
Al 0.762 0.606 0.664
Al 0.238 0.843 0.836
Al 0.753 0.247 0.500
Al 0.743 0.743 0.530
Al 0.667 0.333 0.126
Al 0.000 0.147 0.750
Al 0.159 0.000 0.115
Al 0.159 0.159 0.885
Al 0.238 0.843 0.664
Al 0.150 0.554 0.250
Al 0.494 0.247 0.500
Al 0.333 0.667 0.374
Al 0.595 0.150 0.750
Al 0.667 0.333 0.874
Al 0.247 0.494 0.000
Al 0.159 0.000 0.385
Al 0.000 0.841 0.885
Al 0.000 0.159 0.385
Al 0.606 0.843 0.336
Al 0.257 0.257 0.470
Al 0.257 0.000 0.970
Al 0.257 0.257 0.030
Al 0.595 0.446 0.250
Al 0.843 0.238 0.836
Al 0.753 0.247 0.000
Al 0.843 0.606 0.336
Al 0.394 0.238 0.164
Al 0.247 0.753 0.500
Al 0.405 0.554 0.750
Al 0.494 0.247 0.000
Al 0.843 0.606 0.164
Al 0.000 0.257 0.530
Al 0.843 0.238 0.664
Al 0.333 0.667 0.126
Al 0.762 0.606 0.836
Al 0.000 0.743 0.030
Ho 0.000 0.530 0.596
Ho 0.000 0.470 0.404
Ho 0.000 0.470 0.096
Ho 0.530 0.000 0.596
Ho 0.470 0.470 0.904
Ho 0.530 0.000 0.904
Ho 0.000 0.530 0.904
Ho 0.530 0.530 0.404
Ho 0.470 0.470 0.596
Ho 0.530 0.530 0.096
Ho 0.470 0.000 0.404
Ho 0.470 0.000 0.096


# 3
## HoIO9 (PBE)

Data for a geometry-optimized HoIO9 structure.

Properties
- distance to the lowest polymorph of the same formula (eV per formula unit) = 0.00
- E (MP2020) (eV per atom) = -5.38

a = 10.792 Å, b = 6.650 Å, c = 10.268 Å
α = 58.55°, β = 90.00°, γ = 90.00°
Atoms (fractional coordinates):
O 0.202 0.766 0.203
O 0.427 0.055 0.076
O 0.942 0.251 0.136
O 0.573 0.945 0.924
O 0.298 0.766 0.703
O 0.448 0.544 0.988
O 0.073 0.055 0.576
O 0.057 0.407 0.779
O 0.542 0.814 0.667
O 0.927 0.945 0.424
O 0.223 0.924 0.417
O 0.558 0.251 0.636
O 0.458 0.186 0.333
O 0.225 0.253 0.133
O 0.725 0.747 0.367
O 0.702 0.234 0.297
O 0.052 0.544 0.488
O 0.791 0.458 0.698
O 0.442 0.749 0.364
O 0.209 0.542 0.302
O 0.443 0.407 0.279
O 0.958 0.814 0.167
O 0.775 0.747 0.867
O 0.557 0.593 0.721
O 0.943 0.593 0.221
O 0.275 0.253 0.633
O 0.552 0.456 0.012
O 0.798 0.234 0.797
O 0.723 0.076 0.083
O 0.948 0.456 0.512
O 0.709 0.458 0.198
O 0.042 0.186 0.833
O 0.058 0.749 0.864
O 0.777 0.076 0.583
O 0.277 0.924 0.917
O 0.291 0.542 0.802
I 0.672 0.008 0.747
I 0.172 0.992 0.753
I 0.828 0.008 0.247
I 0.328 0.992 0.253
Ho 0.584 0.773 0.191
Ho 0.084 0.227 0.309
Ho 0.416 0.227 0.809
Ho 0.916 0.773 0.691


# 4
## K2TlAuI6 (PBE)

Data for a geometry-optimized K2TlAuI6 structure.

Properties
- E (MP2020) (eV per atom) = -2.60

a = 8.509 Å, b = 8.509 Å, c = 8.509 Å
α = 60.00°, β = 60.00°, γ = 60.00°
Atoms (fractional coordinates):
I 0.260 0.740 0.740
I 0.740 0.260 0.740
I 0.740 0.260 0.260
I 0.740 0.740 0.260
I 0.260 0.740 0.260
I 0.260 0.260 0.740
Tl 0.000 0.000 0.000
K 0.750 0.750 0.750
K 0.250 0.250 0.250
Au 0.500 0.500 0.500


# 5
## Ge (PBE)

Data for a geometry-optimized Ge structure.

Properties
- distance to the lowest polymorph of the same formula (eV per formula unit) = 0.33

a = 3.029 Å, b = 3.029 Å, c = 3.029 Å
α = 60.00°, β = 60.00°, γ = 60.00°
Atoms (fractional coordinates):
Ge 0.000 0.000 0.000


# 6
## Rb2Hg2PdCl8 (PBE)

Data for a geometry-optimized Rb2Hg2PdCl8 structure.

Properties
- E (MP2020) (eV per atom) = -3.14

a = 6.858 Å, b = 6.858 Å, c = 10.284 Å
α = 73.76°, β = 73.76°, γ = 61.89°
Atoms (fractional coordinates):
Hg 0.868 0.868 0.395
Hg 0.132 0.132 0.605
Cl 0.921 0.921 0.688
Cl 0.079 0.079 0.312
Cl 0.894 0.359 0.867
Cl 0.106 0.641 0.133
Cl 0.343 0.343 0.504
Cl 0.641 0.106 0.133
Cl 0.657 0.657 0.496
Cl 0.359 0.894 0.867
Rb 0.391 0.391 0.837
Rb 0.609 0.609 0.163
Pd 0.000 0.000 0.000


# 7
## ThOs2 (PBE)

Data for a geometry-optimized ThOs2 structure.

a = 5.467 Å, b = 5.467 Å, c = 5.467 Å
α = 60.00°, β = 60.00°, γ = 60.00°
Atoms (fractional coordinates):
Th 0.500 0.500 0.500
Th 0.750 0.750 0.750
Os 0.125 0.125 0.125
Os 0.125 0.625 0.125
Os 0.625 0.125 0.125
Os 0.125 0.125 0.625


# 8
## Hg2Br2N (PBE)

Data for a geometry-optimized Hg2Br2N structure.

Properties
- E (MP2020) (eV per atom) = -2.25

a = 7.208 Å, b = 7.208 Å, c = 6.248 Å
α = 90.00°, β = 90.00°, γ = 120.00°
Atoms (fractional coordinates):
Br 0.365 0.000 0.500
Br 0.000 0.365 0.500
Br 0.635 0.635 0.500
Br 0.000 0.000 0.000
Hg 0.498 0.000 0.000
Hg 0.000 0.498 0.000
Hg 0.000 0.000 0.500
Hg 0.502 0.502 0.000
N 0.667 0.333 0.000
N 0.333 0.667 0.000


Looking at calculated formation energy for the records above, in order, we have -1014, -331, -773, -900, 334, -1407, -256, 196 meV/atom.